## one
The following is a PBE+U calculation of Li3Mn4P8O28 after structural relaxation, from Materials Project.

Lattice parameters (Å, degrees): 9.8062 9.8102 11.0646 101.29 89.82 91.13
Sites, in units of the cell vectors:
Li: 0.1039 0.9071 0.9775
O: 0.4108 0.9748 0.3730
P: 0.4315 0.5619 0.2418
O: 0.4322 0.2852 0.4638
O: 0.1927 0.1561 0.3006
O: 0.2824 0.8121 0.5818
P: 0.5761 0.4344 0.7579
O: 0.8392 0.2739 0.0061
O: 0.9075 0.5236 0.6230
O: 0.0584 0.6137 0.2061
O: 0.1815 0.1867 0.8095
P: 0.0702 0.0631 0.2452
O: 0.0769 0.9114 0.2702
P: 0.3547 0.3717 0.5718
Mn: 0.7091 0.7659 0.8282
O: 0.8398 0.9849 0.4502
P: 0.7894 0.3793 0.1219
O: 0.6921 0.3369 0.7014
O: 0.4476 0.1180 0.2033
O: 0.8199 0.8139 0.1879
Li: 0.6081 0.5868 0.0263
Mn: 0.2166 0.7314 0.1730
O: 0.8418 0.6270 0.8457
O: 0.6582 0.4828 0.4463
Li: 0.3918 0.4095 0.9720
O: 0.2121 0.3165 0.5940
O: 0.7139 0.1947 0.4121
P: 0.2890 0.1178 0.8781
O: 0.1621 0.3738 0.1577
P: 0.2085 0.6161 0.8824
O: 0.1481 0.0210 0.5491
P: 0.1428 0.8699 0.5634
O: 0.9381 0.9345 0.8908
O: 0.0640 0.8657 0.6920
O: 0.3244 0.6868 0.8193
O: 0.9354 0.1312 0.3076
P: 0.5581 0.0240 0.7531
Mn: 0.9235 0.8073 0.3360
Li: 0.8977 0.0905 0.0236
Mn: 0.2890 0.2266 0.1702
O: 0.5727 0.6301 0.2988
O: 0.8069 0.8489 0.6985
O: 0.4217 0.4131 0.2699
O: 0.6594 0.7728 0.0043
P: 0.9320 0.9390 0.7558
Mn: 0.0805 0.1957 0.6580
O: 0.4376 0.3659 0.6967
O: 0.5666 0.4308 0.8939
O: 0.9444 0.3864 0.7976
P: 0.0630 0.4677 0.2435
O: 0.1575 0.7218 0.9976
O: 0.5886 0.5836 0.7317
O: 0.5803 0.0133 0.6182
P: 0.8512 0.1369 0.4355
O: 0.5586 0.7244 0.5283
O: 0.0591 0.7779 0.4591
O: 0.3203 0.6642 0.3031
Mn: 0.4227 0.6950 0.6695
O: 0.0870 0.6009 0.7829
P: 0.7107 0.8816 0.1194
O: 0.3499 0.5265 0.5641
O: 0.4150 0.0969 0.7831
P: 0.9383 0.5312 0.7575
Mn: 0.7858 0.2672 0.8295
O: 0.0953 0.4766 0.3791
O: 0.9147 0.3988 0.2191
O: 0.7582 0.5171 0.0924
O: 0.6766 0.3119 0.1896
O: 0.4334 0.5644 0.1058
O: 0.0631 0.0644 0.1090
O: 0.7826 0.7078 0.4183
P: 0.4381 0.9711 0.2405
O: 0.9363 0.2269 0.5394
O: 0.5844 0.9006 0.2140
O: 0.5468 0.8731 0.7893
O: 0.7470 0.0183 0.0882
O: 0.9271 0.0893 0.7288
O: 0.3374 0.8801 0.1486
O: 0.2507 0.9808 0.9077
Li: 0.4209 0.8433 0.4663
O: 0.6633 0.1110 0.8416
O: 0.3406 0.2242 0.9941
P: 0.6480 0.6300 0.4291
Li: 0.7181 0.8906 0.5476
O: 0.2383 0.4778 0.9107
Mn: 0.5766 0.3052 0.3415

Computed properties:
Total magnetic moment (μB/f.u.): 14.999
Space-group type: No. 1
Calculated volume (Å³ per atom): 12.13



## two
The following is a PBE+U calculation of Li3Mn4P8O28 after structural relaxation, from Materials Project.

Lattice parameters (Å, degrees): 9.7635 9.7609 11.2535 90.01 101.19 90.01
Sites, in units of the cell vectors:
O: 0.7177 0.8385 0.9980
O: 0.9737 0.5857 0.3722
P: 0.8801 0.8603 0.5731
O: 0.3138 0.3268 0.1855
O: 0.1711 0.8235 0.3108
O: 0.3643 0.5603 0.6944
O: 0.3364 0.3031 0.6965
Li: 0.3349 0.9099 0.4585
O: 0.7052 0.2102 0.4111
Mn: 0.2164 0.7288 0.1642
O: 0.7940 0.9374 0.4649
O: 0.2178 0.6612 0.9984
Mn: 0.8058 0.0680 0.3351
P: 0.0227 0.4439 0.7559
Li: 0.8352 0.5899 0.4586
P: 0.0651 0.9317 0.2450
O: 0.7289 0.4364 0.5203
P: 0.4294 0.4229 0.7604
O: 0.9028 0.4103 0.2153
O: 0.9118 0.0718 0.8893
O: 0.7906 0.3375 0.0014
O: 0.8253 0.7165 0.5873
Mn: 0.3055 0.4325 0.3350
O: 0.5802 0.4122 0.7359
O: 0.3681 0.0446 0.7847
P: 0.3798 0.6397 0.5730
P: 0.6147 0.7860 0.8821
O: 0.1926 0.8216 0.8202
O: 0.4847 0.3338 0.4431
P: 0.5650 0.5687 0.2451
O: 0.6709 0.6771 0.3108
P: 0.9699 0.5623 0.2413
O: 0.9754 0.7526 0.9057
O: 0.2050 0.2905 0.4106
O: 0.8773 0.6591 0.1512
O: 0.9848 0.1668 0.4428
O: 0.3254 0.7835 0.5876
P: 0.6337 0.3466 0.4242
O: 0.4027 0.0900 0.2153
O: 0.8647 0.9393 0.6946
O: 0.8681 0.4548 0.7849
O: 0.9160 0.9228 0.2728
O: 0.2934 0.5631 0.4647
O: 0.8364 0.1965 0.6964
O: 0.6931 0.6782 0.8198
Mn: 0.7026 0.5747 0.6732
P: 0.8799 0.2866 0.1212
P: 0.1145 0.7135 0.8826
Li: 0.3938 0.2159 0.5482
O: 0.0212 0.4180 0.6253
O: 0.6267 0.4225 0.2946
Mn: 0.7162 0.7714 0.1639
O: 0.2290 0.0642 0.5197
O: 0.1180 0.5596 0.2065
O: 0.4159 0.5776 0.2730
P: 0.3801 0.2137 0.1212
O: 0.5210 0.2540 0.0915
P: 0.5227 0.0556 0.7556
Mn: 0.2535 0.2130 0.8267
P: 0.1338 0.1539 0.4238
O: 0.0804 0.0874 0.7359
O: 0.1061 0.3409 0.8472
O: 0.4115 0.4283 0.8892
O: 0.1265 0.0781 0.2940
O: 0.0208 0.2460 0.0917
Li: 0.9109 0.9060 0.9790
Li: 0.8938 0.2837 0.5485
O: 0.4738 0.9151 0.3724
O: 0.5210 0.0816 0.6250
O: 0.5370 0.6407 0.5681
Mn: 0.2028 0.9247 0.6736
O: 0.5684 0.5849 0.1123
P: 0.4699 0.9381 0.2415
O: 0.6061 0.1587 0.8469
O: 0.3776 0.8409 0.1515
O: 0.5966 0.9114 0.7873
O: 0.0374 0.8590 0.5684
Li: 0.4109 0.5941 0.9790
Mn: 0.7533 0.2868 0.8267
O: 0.6180 0.9407 0.2065
O: 0.0963 0.5882 0.7877
O: 0.0685 0.9150 0.1121
O: 0.2909 0.1622 0.0015
O: 0.8136 0.1736 0.1857
P: 0.9297 0.0769 0.7605
O: 0.4754 0.7469 0.9050

Computed properties:
Total magnetic moment (μB/f.u.): 0.000
Space-group type: No. 7
Calculated volume (Å³ per atom): 12.23



Winner for stability: one



## one
The following is a PBE+U calculation of V3P4O16 after structural relaxation, from Materials Project.

Lattice parameters (Å, degrees): 10.0721 10.0721 10.9191 87.98 87.98 37.18
Sites, in units of the cell vectors:
O: 0.7656 0.7221 0.6414
V: 0.3663 0.3322 0.2482
P: 0.7453 0.4217 0.5118
O: 0.3972 0.4059 0.8866
O: 0.9802 0.3338 0.2306
O: 0.2344 0.2779 0.3586
O: 0.4059 0.3972 0.3866
O: 0.5527 0.6331 0.8852
O: 0.2779 0.2344 0.8586
O: 0.6331 0.5527 0.3852
O: 0.9483 0.3635 0.5081
P: 0.1870 0.2157 0.7525
O: 0.0510 0.6353 0.2280
V: 0.3322 0.3663 0.7482
O: 0.3050 0.2127 0.1431
V: 0.6678 0.6337 0.2518
P: 0.2547 0.5783 0.4882
O: 0.6028 0.5941 0.1134
P: 0.4217 0.7453 0.0118
O: 0.7873 0.6950 0.3569
V: 0.6337 0.6678 0.7518
O: 0.5941 0.6028 0.6134
P: 0.8130 0.7843 0.2475
O: 0.3647 0.9490 0.2720
O: 0.9490 0.3647 0.7720
O: 0.3338 0.9802 0.7306
O: 0.6353 0.0510 0.7280
O: 0.6365 0.0517 0.9919
O: 0.7221 0.7656 0.1414
P: 0.2157 0.1870 0.2525
O: 0.6662 0.0198 0.2694
O: 0.0198 0.6662 0.7694
O: 0.3669 0.4473 0.6148
O: 0.2036 0.7607 0.4736
P: 0.5783 0.2547 0.9882
O: 0.6950 0.7873 0.8569
O: 0.3635 0.9483 0.0081
O: 0.0517 0.6365 0.4919
O: 0.7607 0.2036 0.9736
P: 0.7843 0.8130 0.7475
O: 0.2393 0.7964 0.0264
V: 0.5000 0.0000 0.0000
V: 0.0000 0.5000 0.5000
O: 0.4473 0.3669 0.1148
O: 0.7964 0.2393 0.5264
O: 0.2127 0.3050 0.6431

Computed properties:
Total magnetic moment (μB/f.u.): 3.000
Space-group type: No. 15
Calculated volume (Å³ per atom): 14.54



## two
The following is a PBE+U calculation of V3P4O16 after structural relaxation, from Materials Project.

Lattice parameters (Å, degrees): 7.6417 9.0241 13.2911 84.28 89.01 89.63
Sites, in units of the cell vectors:
V: 0.5398 0.6751 0.8303
V: 0.4623 0.9905 0.5022
P: 0.1686 0.5196 0.2795
O: 0.2102 0.8283 0.0657
O: 0.8594 0.2998 0.4333
P: 0.3350 0.3543 0.9475
O: 0.1278 0.6945 0.2402
O: 0.4532 0.5750 0.5786
O: 0.1494 0.3660 0.5845
P: 0.2895 0.0238 0.2790
P: 0.1876 0.2013 0.6157
O: 0.6591 0.4711 0.0829
O: 0.6024 0.8392 0.4321
O: 0.6377 0.5117 0.7627
O: 0.5497 0.7357 0.0870
O: 0.4163 0.8916 0.2462
O: 0.7904 0.8225 0.2732
O: 0.8338 0.1621 0.9346
O: 0.8721 0.6840 0.0965
O: 0.6359 0.1718 0.0902
O: 0.1391 0.3699 0.9010
O: 0.0558 0.4088 0.2412
O: 0.1076 0.9913 0.2409
O: 0.8773 0.9986 0.7626
O: 0.1786 0.1760 0.7333
P: 0.7008 0.6345 0.0520
V: 0.9667 0.8442 0.1694
O: 0.3775 0.5290 0.9072
O: 0.8233 0.4900 0.6016
P: 0.6871 0.9911 0.7217
O: 0.3665 0.5343 0.2322
O: 0.9573 0.5645 0.7587
O: 0.7104 0.6573 0.9341
O: 0.6239 0.1380 0.4261
O: 0.5476 0.4247 0.4238
O: 0.3600 0.8478 0.5880
O: 0.8622 0.6580 0.4276
P: 0.7857 0.8087 0.3907
O: 0.8709 0.9878 0.0882
O: 0.1703 0.5158 0.3970
O: 0.6416 0.8177 0.7446
O: 0.7002 0.0058 0.5981
V: 0.9887 0.1504 0.8278
O: 0.5508 0.0899 0.7564
P: 0.6644 0.3126 0.3859
O: 0.6709 0.3144 0.2684
P: 0.8314 0.1613 0.0532
O: 0.8534 0.2990 0.7480
O: 0.3333 0.3555 0.0648
V: 0.0123 0.5160 0.5073
O: 0.3979 0.8269 0.9009
O: 0.4455 0.2409 0.9064
O: 0.0427 0.1022 0.5759
V: 0.3603 0.7412 0.1745
O: 0.1259 0.6660 0.5721
O: 0.3666 0.1717 0.2370
O: 0.3634 0.1515 0.5726
V: 0.1471 0.5741 0.8416
O: 0.9613 0.2605 0.0907
P: 0.8138 0.4636 0.7190
P: 0.2164 0.8548 0.9442
O: 0.0882 0.7279 0.9134
O: 0.1362 0.0057 0.9148
V: 0.5190 0.3183 0.1578
V: 0.8536 0.0926 0.4922
O: 0.2936 0.0126 0.3965
P: 0.3164 0.6743 0.6124
O: 0.9122 0.9367 0.4235
O: 0.3016 0.6605 0.7357

Computed properties:
Total magnetic moment (μB/f.u.): 3.000
Space-group type: No. 1
Calculated volume (Å³ per atom): 13.21



Winner for stability: one